Record 1
A relaxed structure of V2ZnS5, computed with GGA-PBE.

The structure in POSCAR format:
```
V2ZnS5
1.0
3.996 0.000 0.000
0.000 14.323 0.000
0.000 0.000 5.937
V Zn S
4 2 10
direct
0.250 0.093 0.084 V
0.250 0.407 0.084 V
0.750 0.593 0.916 V
0.750 0.907 0.916 V
0.250 0.750 0.318 Zn
0.750 0.250 0.682 Zn
0.250 0.138 0.419 S
0.250 0.250 0.920 S
0.250 0.362 0.419 S
0.250 0.573 0.115 S
0.250 0.927 0.115 S
0.750 0.073 0.885 S
0.750 0.427 0.885 S
0.750 0.638 0.581 S
0.750 0.750 0.080 S
0.750 0.862 0.581 S
```



Record 2
A relaxed structure of Zr9V4S, computed with GGA-PBE.

The structure in POSCAR format:
```
Zr9V4S
1.0
8.656 0.000 0.000
-4.328 7.497 0.000
0.000 0.000 8.538
Zr V S
18 8 2
direct
0.084 0.542 0.250 Zr
0.196 0.391 0.551 Zr
0.196 0.391 0.949 Zr
0.196 0.804 0.551 Zr
0.196 0.804 0.949 Zr
0.391 0.196 0.051 Zr
0.391 0.196 0.449 Zr
0.458 0.542 0.250 Zr
0.458 0.916 0.250 Zr
0.542 0.084 0.750 Zr
0.542 0.458 0.750 Zr
0.609 0.804 0.551 Zr
0.609 0.804 0.949 Zr
0.804 0.196 0.051 Zr
0.804 0.196 0.449 Zr
0.804 0.609 0.051 Zr
0.804 0.609 0.449 Zr
0.916 0.458 0.750 Zr
0.000 0.000 0.000 V
0.000 0.000 0.500 V
0.104 0.208 0.250 V
0.104 0.896 0.250 V
0.208 0.104 0.750 V
0.792 0.896 0.250 V
0.896 0.104 0.750 V
0.896 0.792 0.750 V
0.333 0.667 0.750 S
0.667 0.333 0.250 S
```



Number 1: formation energy from the elements -821 meV per atom. Number 2: formation energy from the elements -240 meV per atom.